# Na8SnSb4

Crystalline Na8SnSb4 at its relaxed geometry (r2SCAN, the Materials Project database).

a = 10.4519 Å, b = 10.4519 Å, c = 10.4518 Å
α = 59.99°, β = 59.99°, γ = 59.99°
Element x y z (fractional)
Na 0.6250 0.1250 0.6250
Na 0.2297 0.7703 0.2297
Na 0.2297 0.2297 0.7703
Na 0.4797 0.0203 0.0203
Na 0.7703 0.2297 0.7703
Na 0.0203 0.4797 0.0203
Na 0.4797 0.4797 0.0203
Na 0.6250 0.6250 0.1250
Na 0.7703 0.2297 0.2297
Na 0.4797 0.0203 0.4797
Na 0.6250 0.6250 0.6250
Na 0.0203 0.0203 0.4797
Na 0.1250 0.6250 0.6250
Na 0.0203 0.4797 0.4797
Na 0.2297 0.7703 0.7703
Na 0.7703 0.7703 0.2297
Sn 0.7500 0.7500 0.7500
Sn 0.5000 0.5000 0.5000
Sb 0.8344 0.3885 0.3885
Sb 0.8615 0.8615 0.4154
Sb 0.3885 0.3885 0.8344
Sb 0.8615 0.8615 0.8615
Sb 0.3885 0.8344 0.3885
Sb 0.8615 0.4154 0.8615
Sb 0.4154 0.8615 0.8615
Sb 0.3885 0.3885 0.3885

Summary:
Magnetic moment = 0.00 μB/f.u.
ΔE_f = -0.522 eV per atom